Record 1
## CaH3Pd (r²SCAN)

Data for an optimized crystal structure of CaH3Pd.

Unit cell a=3.7067 b=3.7067 c=3.7067 alpha=90.00 beta=90.00 gamma=90.00
Fractional positions:
Ca1 0.0000 0.0000 0.0000
H1 0.0000 0.5000 0.5000
H2 0.5000 0.0000 0.5000
H3 0.5000 0.5000 0.0000
Pd1 0.5000 0.5000 0.5000

symmetry: Pm-3m
formation energy from the elements: -0.57 eV/atom

***

Record 2
## RbCaH3 (r²SCAN)

Data for an optimized crystal structure of RbCaH3.

Unit cell a=4.5210 b=4.5210 c=4.5210 alpha=90.00 beta=90.00 gamma=90.00
Fractional positions:
Rb1 0.0000 0.0000 0.0000
Ca1 0.5000 0.5000 0.5000
H1 0.0000 0.5000 0.5000
H2 0.5000 0.0000 0.5000
H3 0.5000 0.5000 0.0000

symmetry: Pm-3m
formation energy from the elements: -0.49 eV/atom

***

Record 3
## Ca3SnH2 (r²SCAN)

Data for an optimized crystal structure of Ca3SnH2.

Unit cell a=7.2203 b=7.2203 c=5.2384 alpha=90.00 beta=90.00 gamma=104.50
Fractional positions:
Ca1 0.1104 0.8896 0.7500
Ca2 0.1865 0.4077 0.7500
Ca3 0.4077 0.1865 0.2500
Ca4 0.5923 0.8135 0.7500
Ca5 0.8135 0.5923 0.2500
Ca6 0.8896 0.1104 0.2500
Sn1 0.3067 0.6933 0.2500
Sn2 0.6933 0.3067 0.7500
H1 0.1510 0.1510 0.0000
H2 0.1510 0.1510 0.5000
H3 0.8490 0.8490 0.0000
H4 0.8490 0.8490 0.5000

symmetry: Cmcm
formation energy from the elements: -0.74 eV/atom

***

Record 4
## CaHfN2 (r²SCAN)

Data for an optimized crystal structure of CaHfN2.

Unit cell a=5.8982 b=5.8982 c=5.8982 alpha=32.24 beta=32.24 gamma=32.24
Fractional positions:
Ca1 0.0000 0.0000 0.0000
Hf1 0.5000 0.5000 0.5000
N1 0.2372 0.2372 0.2372
N2 0.7628 0.7628 0.7628

symmetry: R-3m
formation energy from the elements: -1.88 eV/atom

***

Record 5
## CaHfO3 (r²SCAN)

Data for an optimized crystal structure of CaHfO3.

Unit cell a=4.0670 b=4.0670 c=4.0670 alpha=90.00 beta=90.00 gamma=90.00
Fractional positions:
Ca1 0.0000 0.0000 0.0000
Hf1 0.5000 0.5000 0.5000
O1 0.0000 0.5000 0.5000
O2 0.5000 0.0000 0.5000
O3 0.5000 0.5000 0.0000

symmetry: Pm-3m
formation energy from the elements: -3.57 eV/atom

***

Record 6
## Ca2Hf7O16 (r²SCAN)

Data for an optimized crystal structure of Ca2Hf7O16.

Unit cell a=9.4847 b=9.4847 c=9.4847 alpha=38.80 beta=38.80 gamma=38.80
Fractional positions:
Ca1 0.1667 0.1667 0.1667
Ca2 0.8333 0.8333 0.8333
Hf1 0.0136 0.3874 0.7562
Hf2 0.2438 0.9864 0.6126
Hf3 0.3874 0.7562 0.0136
Hf4 0.5000 0.5000 0.5000
Hf5 0.6126 0.2438 0.9864
Hf6 0.7562 0.0136 0.3874
Hf7 0.9864 0.6126 0.2438
O1 0.0732 0.0732 0.0732
O2 0.0902 0.6509 0.3502
O3 0.1720 0.4672 0.7387
O4 0.2613 0.8280 0.5328
O5 0.2624 0.2624 0.2624
O6 0.3491 0.6498 0.9098
O7 0.3502 0.0902 0.6509
O8 0.4672 0.7387 0.1720
O9 0.5328 0.2613 0.8280
O10 0.6498 0.9098 0.3491
O11 0.6509 0.3502 0.0902
O12 0.7376 0.7376 0.7376
O13 0.7387 0.1720 0.4672
O14 0.8280 0.5328 0.2613
O15 0.9098 0.3491 0.6498
O16 0.9268 0.9268 0.9268

symmetry: R-3
formation energy from the elements: -3.83 eV/atom

***

Record 7
## Ca2HfO4 (r²SCAN)

Data for an optimized crystal structure of Ca2HfO4.

Unit cell a=5.7173 b=9.8344 c=3.2597 alpha=90.00 beta=90.00 gamma=90.00
Fractional positions:
Ca1 0.0664 0.1807 0.0000
Ca2 0.4336 0.6807 0.0000
Ca3 0.5664 0.3193 0.0000
Ca4 0.9336 0.8193 0.0000
Hf1 0.0000 0.5000 0.5000
Hf2 0.5000 0.0000 0.5000
O1 0.1380 0.6926 0.5000
O2 0.2255 0.4551 0.0000
O3 0.2745 0.9551 0.0000
O4 0.3620 0.1926 0.5000
O5 0.6380 0.8074 0.5000
O6 0.7255 0.0449 0.0000
O7 0.7745 0.5449 0.0000
O8 0.8620 0.3074 0.5000

symmetry: Pbam
formation energy from the elements: -3.57 eV/atom

***

Record 8
## Ca5Hg3 (r²SCAN)

Data for an optimized crystal structure of Ca5Hg3.

Unit cell a=9.3177 b=9.3177 c=8.2262 alpha=116.18 beta=116.18 gamma=52.38
Fractional positions:
Ca1 0.0000 0.5000 0.5000
Ca2 0.0178 0.1882 0.0178
Ca3 0.1882 0.0178 0.5178
Ca4 0.3118 0.4819 0.3119
Ca5 0.4819 0.3118 0.8119
Ca6 0.5000 0.0000 0.0000
Ca7 0.5181 0.6882 0.1881
Ca8 0.6882 0.5181 0.6881
Ca9 0.8118 0.9822 0.4822
Ca10 0.9822 0.8118 0.9822
Hg1 0.1333 0.3665 0.8664
Hg2 0.2512 0.7488 0.7500
Hg3 0.3665 0.1333 0.3664
Hg4 0.6335 0.8667 0.6336
Hg5 0.7488 0.2512 0.2500
Hg6 0.8667 0.6335 0.1336

symmetry: C2/c
formation energy from the elements: -0.47 eV/atom

***

Record 9
## Ca3Hg2 (r²SCAN)

Data for an optimized crystal structure of Ca3Hg2.

Unit cell a=8.5333 b=8.5333 c=4.1647 alpha=90.00 beta=90.00 gamma=90.00
Fractional positions:
Ca1 0.0000 0.0000 0.0000
Ca2 0.1558 0.3442 0.5000
Ca3 0.3442 0.8442 0.5000
Ca4 0.5000 0.5000 0.0000
Ca5 0.6558 0.1558 0.5000
Ca6 0.8442 0.6558 0.5000
Hg1 0.1408 0.6408 0.0000
Hg2 0.3592 0.1408 0.0000
Hg3 0.6408 0.8592 0.0000
Hg4 0.8592 0.3592 0.0000

symmetry: P4/mbm
formation energy from the elements: -0.51 eV/atom

***

Q: What is the formation energy from the elements in the fifth record?
A: -3.57 eV/atom

***

Q: Which of these has the highest formation energy from the elements?
A: Ca5Hg3